A plane-wave DFT calculation with GGA+U was carried out for a relaxed structure of Ba8Fe8O21.

a b c (Å): 5.744 5.816 19.095
angles (deg): 99.30 98.08 60.03
Positions (direct):
O: 0.375 0.875 0.125
O: 0.500 0.005 0.499
O: 0.246 0.758 0.248
O: 0.760 0.233 0.242
O: 0.629 0.631 0.376
O: 0.121 0.119 0.874
O: 0.635 0.122 0.866
O: 0.994 0.020 0.501
O: 0.618 0.149 0.372
O: 0.250 0.745 0.751
O: 0.875 0.375 0.125
O: 0.990 0.517 0.008
O: 0.756 0.730 0.749
O: 0.375 0.375 0.625
O: 0.875 0.375 0.625
O: 0.494 0.481 0.998
O: 0.115 0.628 0.384
O: 0.132 0.601 0.878
O: 0.256 0.269 0.252
O: 0.504 0.992 0.002
O: 0.375 0.875 0.625
Fe: 0.204 0.160 0.569
Fe: 0.785 0.863 0.429
Fe: 0.087 0.090 0.194
Fe: 0.663 0.660 0.056
Fe: 0.440 0.453 0.311
Fe: 0.546 0.590 0.681
Fe: 0.310 0.297 0.939
Fe: 0.965 0.887 0.821
Ba: 0.752 0.751 0.252
Ba: 0.375 0.375 0.125
Ba: 0.875 0.875 0.625
Ba: 0.496 0.507 0.497
Ba: 0.123 0.127 0.371
Ba: 0.254 0.243 0.753
Ba: 0.998 0.999 0.998
Ba: 0.627 0.623 0.879

Output
**Formation enthalpy at 0 K**: -2221 meV/atom
**Total magnetization**: 38.00 μB/f.u.
**Space group**: P-1
**Crystal system**: triclinic